No. 1
Here is a relaxed SrIn6Cu7 crystal from Materials Project. Energies are from PBE.

Unit cell a=12.7838 b=12.7759 c=12.7496 alpha=90.00 beta=90.00 gamma=90.00
Space group Cmcm (No. 63)
One atom of each set of equivalent atoms:
Sr  0.2479  0.0000  0.0000 (multiplicity 8)
In  0.0000  0.0617  0.1153 (multiplicity 8)
In  0.0000  0.3870  0.5681 (multiplicity 8)
In  0.1352  0.0823  0.7500 (multiplicity 8)
In  0.1372  0.2489  0.0643 (multiplicity 16)
In  0.1395  0.4538  0.7500 (multiplicity 8)
Cu  0.0000  0.1490  0.5811 (multiplicity 8)
Cu  0.0000  0.2390  0.2500 (multiplicity 4)
Cu  0.0000  0.2596  0.7500 (multiplicity 4)
Cu  0.0000  0.4114  0.1455 (multiplicity 8)
Cu  0.1709  0.1327  0.2500 (multiplicity 8)
Cu  0.1714  0.2651  0.6460 (multiplicity 16)
Cu  0.1714  0.3408  0.2500 (multiplicity 8)

Properties
Energy of formation in eV/atom: -0.118
E_tot in Ry/atom: -0.2549
Volume in Å³ per atom: 18.59


No. 2
Here is a relaxed Na2InGaF6 crystal from Materials Project. Energies are from PBE.

Unit cell a=8.9509 b=8.9509 c=8.9509 alpha=90.00 beta=90.00 gamma=90.00
Space group Fm-3m (No. 225)
One atom of each set of equivalent atoms:
Na  0.2500  0.2500  0.2500 (multiplicity 8)
In  0.0000  0.0000  0.0000 (multiplicity 4)
Ga  0.0000  0.0000  0.5000 (multiplicity 4)
F  0.0000  0.0000  0.2352 (multiplicity 24)

Properties
Energy of formation in eV/atom: -2.530
E_tot in Ry/atom: -0.3120
Total moment in μB/cell: 0.00
Volume in Å³ per atom: 17.93


No. 3
Here is a relaxed Sr3TaAs3O crystal from Materials Project. Energies are from PBE.

Unit cell a=6.4538 b=10.7841 c=13.0800 alpha=90.00 beta=90.00 gamma=90.00
Space group Pnma (No. 62)
One atom of each set of equivalent atoms:
Sr  0.2322  0.2500  0.1287 (multiplicity 4)
Sr  0.2457  0.5429  0.3719 (multiplicity 8)
Ta  0.1581  0.2500  0.5484 (multiplicity 4)
As  0.2363  0.2500  0.3637 (multiplicity 4)
As  0.2368  0.5485  0.1237 (multiplicity 8)
O  0.1346  0.7500  0.4455 (multiplicity 4)

Properties
Energy of formation in eV/atom: -1.554
E_tot in Ry/atom: -0.4373
Total moment in μB/cell: 0.00
Volume in Å³ per atom: 28.45


No. 4
Here is a relaxed DyTmIr2 crystal from Materials Project. Energies are from PBE.

Unit cell a=6.8173 b=6.8173 c=6.8173 alpha=90.00 beta=90.00 gamma=90.00
Space group Fm-3m (No. 225)
One atom of each set of equivalent atoms:
Dy  0.0000  0.0000  0.0000 (multiplicity 4)
Tm  0.0000  0.0000  0.5000 (multiplicity 4)
Ir  0.2500  0.2500  0.2500 (multiplicity 8)

Properties
Energy of formation in eV/atom: -0.884
E_tot in Ry/atom: -0.5567
Volume in Å³ per atom: 19.80


No. 5
Here is a relaxed Y2In3Pb3 crystal from Materials Project. Energies are from PBE.

Unit cell a=4.8020 b=4.8131 c=9.5131 alpha=90.00 beta=90.00 gamma=90.00
Space group Pmmm (No. 47)
One atom of each set of equivalent atoms:
Y  0.0000  0.0000  0.2493 (multiplicity 2)
In  0.0000  0.5000  0.5000 (multiplicity 1)
In  0.5000  0.5000  0.2526 (multiplicity 2)
Pb  0.0000  0.5000  0.0000 (multiplicity 1)
Pb  0.5000  0.0000  0.0000 (multiplicity 1)
Pb  0.5000  0.0000  0.5000 (multiplicity 1)

Properties
Energy of formation in eV/atom: -0.328
E_tot in Ry/atom: -0.3211
Total moment in μB/cell: 0.01
Volume in Å³ per atom: 27.48


No. 6
Here is a relaxed RbMg7 crystal from Materials Project. Energies are from PBE.

Unit cell a=6.9252 b=6.9252 c=5.4086 alpha=90.00 beta=90.00 gamma=120.00
Space group P-6m2 (No. 187)
One atom of each set of equivalent atoms:
Rb  0.0000  0.0000  0.0000 (multiplicity 1)
Mg  0.0076  0.5038  0.0000 (multiplicity 3)
Mg  0.1811  0.3623  0.5000 (multiplicity 3)
Mg  0.6667  0.3333  0.5000 (multiplicity 1)

Properties
Energy of formation in eV/atom: 0.238
E_tot in Ry/atom: -0.0945
Total moment in μB/cell: 0.00
Volume in Å³ per atom: 28.08


Copy entry 6 word for word.
Here is a relaxed RbMg7 crystal from Materials Project. Energies are from PBE.

Unit cell a=6.9252 b=6.9252 c=5.4086 alpha=90.00 beta=90.00 gamma=120.00
Space group P-6m2 (No. 187)
One atom of each set of equivalent atoms:
Rb  0.0000  0.0000  0.0000 (multiplicity 1)
Mg  0.0076  0.5038  0.0000 (multiplicity 3)
Mg  0.1811  0.3623  0.5000 (multiplicity 3)
Mg  0.6667  0.3333  0.5000 (multiplicity 1)

Properties
Energy of formation in eV/atom: 0.238
E_tot in Ry/atom: -0.0945
Total moment in μB/cell: 0.00
Volume in Å³ per atom: 28.08